Material: LiAlPd
Method: DFT, PBE-GGA
State: relaxed

Summary:
Volume in Å³/atom: 14.04
Formation energy from the elements in eV/atom: -0.546

abc: 4.2171 4.2171 2.7356
angles: 90.10 89.90 120.03
Last column: nearest neighbours and their distance in Å.
Fractional coordinates of all 3 atoms:
Li 0.3333 0.6667 0.0000  3 Al 2.43
Al 0.0000 0.0000 0.0000  3 Li 2.43
Pd 0.6667 0.3333 0.5000  2 Pd 2.74, 6 Li 2.79-2.80, 6 Al 2.79-2.80